Compound: Li2Fe2SiO6
Source: the Materials Project database
Functional: GGA+U
Structure: relaxed

Structure (POSCAR):
```
Li2Fe2SiO6
1.0
0.000 11.149 11.090
3.376 0.000 11.090
3.376 11.149 0.000
Li Fe Si O
12 12 6 36
Direct
0.000 0.000 0.000
0.035 0.679 0.327
0.250 0.250 0.250
0.291 0.923 0.571
0.330 0.330 0.670
0.370 0.657 0.342
0.580 0.580 0.920
0.619 0.908 0.593
0.657 0.370 0.631
0.679 0.035 0.959
0.908 0.619 0.880
0.923 0.291 0.215
0.077 0.077 0.423
0.112 0.410 0.101
0.149 0.873 0.138
0.165 0.541 0.450
0.406 0.800 0.709
0.410 0.112 0.377
0.487 0.487 0.513
0.541 0.165 0.844
0.737 0.737 0.763
0.800 0.406 0.085
0.827 0.827 0.173
0.873 0.149 0.840
0.083 0.730 0.752
0.208 0.208 0.792
0.458 0.458 0.042
0.498 0.815 0.167
0.730 0.083 0.435
0.815 0.498 0.520
0.016 0.560 0.491
0.053 0.337 0.267
0.085 0.966 0.548
0.096 0.641 0.867
0.190 0.976 0.002
0.212 0.298 0.673
0.217 0.617 0.285
0.248 0.417 0.060
0.298 0.212 0.817
0.316 0.759 0.690
0.329 0.572 0.514
0.337 0.053 0.342
0.369 0.965 0.633
0.383 0.854 0.154
0.417 0.248 0.274
0.433 0.577 0.952
0.525 0.690 0.254
0.560 0.016 0.934
0.572 0.329 0.585
0.577 0.433 0.038
0.617 0.217 0.881
0.641 0.096 0.396
0.665 0.736 0.678
0.690 0.525 0.532
0.702 0.850 0.165
0.718 0.996 0.560
0.736 0.665 0.921
0.759 0.316 0.234
0.850 0.702 0.284
0.854 0.383 0.609
0.908 0.983 0.913
0.965 0.369 0.033
0.966 0.085 0.400
0.976 0.190 0.833
0.983 0.908 0.197
0.996 0.718 0.725
```

Properties
The energy of formation comes out at -2.247 eV per atom. The value obtained for the excess energy over the best structure of this formula in the dataset is 45 kJ/mol of formula units. The value obtained for the volume is 12.6 Å³/atom. The calculation puts the uncorrected energy at -431.69 eV for the cell shown.

Compound: CoSO4
Source: the Materials Project database
Functional: GGA+U
Structure: relaxed

Structure (POSCAR):
```
CoSO4
1.0
2.617 -3.992 0.000
2.617 3.992 0.000
-0.028 0.000 6.621
Co S O
2 2 8
Direct
0.000 0.000 0.000
0.000 0.000 0.500
0.349 0.651 0.750
0.651 0.349 0.250
0.225 0.306 0.750
0.249 0.751 0.563
0.249 0.751 0.937
0.306 0.225 0.250
0.694 0.775 0.750
0.751 0.249 0.063
0.751 0.249 0.437
0.775 0.694 0.250
```

Properties
The energy of formation comes out at -1.739 eV per atom. The value obtained for the volume is 11.5 Å³/atom. The calculation puts the uncorrected energy at -74.17 eV for the cell shown.

Compound: Li2Fe2OF4
Source: the Materials Project database
Functional: GGA+U
Structure: relaxed

Structure (POSCAR):
```
Li2Fe2OF4
1.0
1.516 -4.969 0.000
1.516 4.969 0.000
0.000 0.000 12.661
Li Fe O F
4 4 2 8
Direct
0.005 0.995 0.500
0.271 0.729 0.391
0.729 0.271 0.891
0.995 0.005 0.000
0.259 0.741 0.119
0.460 0.540 0.767
0.540 0.460 0.267
0.741 0.259 0.619
0.167 0.833 0.255
0.833 0.167 0.755
0.080 0.920 0.858
0.087 0.913 0.648
0.352 0.648 0.970
0.366 0.634 0.539
0.634 0.366 0.039
0.648 0.352 0.470
0.913 0.087 0.148
0.920 0.080 0.358
```

Properties
The energy of formation comes out at -2.517 eV per atom. The value obtained for the volume is 10.6 Å³/atom. The calculation puts the uncorrected energy at -97.95 eV for the cell shown.

Compound: BaYZn3CoO7
Source: the Materials Project database
Functional: GGA+U
Structure: relaxed

Structure (POSCAR):
```
BaYZn3CoO7
1.0
6.426 0.000 0.000
-3.213 5.565 0.000
0.000 0.000 10.377
Ba Y Zn Co O
2 2 6 2 14
Direct
0.333 0.667 0.000
0.667 0.333 0.500
0.333 0.667 0.638
0.667 0.333 0.138
0.170 0.340 0.322
0.170 0.830 0.322
0.340 0.170 0.822
0.660 0.830 0.322
0.830 0.170 0.822
0.830 0.660 0.822
0.000 0.000 0.073
0.000 0.000 0.573
0.000 0.000 0.258
0.000 0.000 0.758
0.009 0.504 0.767
0.160 0.320 0.516
0.160 0.840 0.516
0.320 0.160 0.016
0.496 0.504 0.767
0.496 0.991 0.767
0.504 0.009 0.267
0.504 0.496 0.267
0.680 0.840 0.516
0.840 0.160 0.016
0.840 0.680 0.016
0.991 0.496 0.267
```

Properties
The energy of formation comes out at -2.282 eV per atom. The value obtained for the volume is 14.3 Å³/atom. The calculation puts the uncorrected energy at -154.27 eV for the cell shown.

Compound: Li6V3P8O29
Source: the Materials Project database
Functional: GGA+U
Structure: relaxed

Structure (POSCAR):
```
Li6V3P8O29
1.0
9.829 0.000 0.000
4.867 8.540 0.000
0.170 0.033 13.960
Li V P O
12 6 16 58
Direct
0.000 0.000 0.000
0.003 0.449 0.503
0.091 0.678 0.935
0.181 0.899 0.381
0.199 0.335 0.880
0.319 0.355 0.381
0.329 0.775 0.880
0.407 0.587 0.502
0.753 0.336 0.826
0.760 0.334 0.328
0.779 0.767 0.386
0.858 0.585 0.002
0.091 0.107 0.189
0.097 0.240 0.688
0.525 0.676 0.690
0.532 0.236 0.185
0.655 0.678 0.190
0.659 0.103 0.693
0.000 0.445 0.284
0.002 0.989 0.782
0.181 0.359 0.100
0.181 0.906 0.598
0.321 0.762 0.097
0.330 0.353 0.597
0.403 0.450 0.782
0.411 0.583 0.281
0.422 0.011 0.814
0.426 0.006 0.312
0.758 0.342 0.570
0.762 0.342 0.068
0.778 0.761 0.601
0.786 0.899 0.096
0.862 0.991 0.283
0.869 0.579 0.784
0.009 0.013 0.281
0.014 0.411 0.777
0.090 0.465 0.192
0.092 0.885 0.690
0.093 0.443 0.011
0.094 0.899 0.870
0.095 0.426 0.372
0.101 0.918 0.507
0.174 0.928 0.104
0.177 0.342 0.599
0.178 0.204 0.116
0.192 0.055 0.620
0.278 0.164 0.772
0.279 0.005 0.272
0.296 0.464 0.864
0.304 0.672 0.190
0.311 0.468 0.684
0.315 0.687 0.006
0.337 0.676 0.370
0.338 0.433 0.505
0.347 0.331 0.103
0.347 0.758 0.602
0.417 0.016 0.920
0.419 0.863 0.775
0.426 0.420 0.282
0.430 0.595 0.781
0.433 0.002 0.418
0.433 0.151 0.268
0.473 0.768 0.111
0.474 0.195 0.614
0.566 0.302 0.777
0.570 0.010 0.767
0.576 0.854 0.268
0.579 0.561 0.264
0.605 0.493 0.606
0.614 0.341 0.113
0.619 0.766 0.623
0.628 0.052 0.107
0.719 0.157 0.268
0.720 0.565 0.772
0.753 0.200 0.618
0.755 0.925 0.603
0.757 0.341 0.462
0.762 0.756 0.100
0.764 0.344 0.961
0.764 0.490 0.107
0.838 0.012 0.781
0.838 0.594 0.285
0.850 0.669 0.512
0.854 0.907 0.370
0.880 0.655 0.874
0.885 0.885 0.191
0.887 0.668 0.692
0.887 0.889 0.012
0.907 0.346 0.605
0.908 0.187 0.104
0.975 0.303 0.266
0.991 0.152 0.771
```

Properties
The energy of formation comes out at -2.654 eV per atom. The value obtained for the excess energy over the best structure of this formula in the dataset is 40 kJ/mol of formula units. The value obtained for the volume is 12.7 Å³/atom. The calculation puts the uncorrected energy at -645.09 eV for the cell shown.

Compound: SrCrSnWO6
Source: the Materials Project database
Functional: GGA+U
Structure: relaxed

Structure (POSCAR):
```
SrCrSnWO6
1.0
0.000 3.993 3.993
3.993 0.000 3.993
3.993 3.993 0.000
Sr Cr Sn W O
1 1 1 1 6
Direct
0.000 0.000 0.000
0.750 0.750 0.750
0.500 0.500 0.500
0.250 0.250 0.250
0.001 0.001 0.499
0.001 0.499 0.001
0.001 0.499 0.499
0.499 0.001 0.001
0.499 0.001 0.499
0.499 0.499 0.001
```

Properties
The energy of formation comes out at -2.225 eV per atom. The value obtained for the volume is 12.7 Å³/atom. The calculation puts the uncorrected energy at -69.69 eV for the cell shown.

Among the records above, which one has the highest volume?
BaYZn3CoO7

Which of these has the lowest energy of formation?
Li6V3P8O29

What is the uncorrected energy in the sixth record?
-69.69 eV for the cell shown